Record 1
The following is a PBE+U calculation of an optimized crystal structure of Li2Ni3TeO8, from the Materials Project.

Geometry as extended XYZ:
```
28
Lattice="2.939 -5.091 0.000 2.939 5.091 0.000 0.000 0.000 9.598" Properties=species:S:1:pos:R:3 pbc="T T T"
O 4.385 -0.862 0.870
Ni 4.372 -0.870 6.846
Ni 1.507 -0.870 6.846
Li 2.939 -1.697 3.899
Li 0.000 0.000 4.679
Li 2.939 1.697 8.698
O 1.617 -2.460 8.169
O 2.939 0.170 3.369
O 1.617 2.460 3.369
O 0.000 0.000 7.633
Li 0.000 0.000 9.478
O 2.939 -0.170 8.169
O 4.385 0.862 5.669
O 2.939 -1.697 5.909
O 1.493 0.862 5.669
O 2.939 -3.366 0.870
O 4.262 -2.460 8.169
Ni 2.939 3.351 2.047
Ni 4.372 0.870 2.047
Te 2.939 -1.697 9.443
O 2.939 1.697 1.109
O 1.493 -0.862 0.870
Te 2.939 1.697 4.644
Ni 1.507 0.870 2.047
O 0.000 0.000 2.834
O 4.262 2.460 3.369
O 2.939 3.366 5.669
Ni 2.939 -3.351 6.846
```

Computed properties:
ΔE to the lowest computed polymorph (eV/atom): 0.012
Calculated total energy (eV/cell): -144.023
Density (g/cm³): 5.15
Crystal system: hexagonal

Record 2
The following is a PBE+U calculation of an optimized crystal structure of Li4Ni3TeO8, from the Materials Project.

Geometry as extended XYZ:
```
16
Lattice="10.326 -0.061 -0.038 8.598 5.719 -0.038 13.761 4.114 2.517" Properties=species:S:1:pos:R:3 pbc="T T T"
O 15.357 3.137 1.918
Ni 13.761 5.689 -0.057
O 18.126 3.965 0.523
O 12.963 3.876 0.737
Li 6.880 2.057 1.258
Ni 18.060 6.974 2.498
Ni 23.223 6.943 2.479
O 14.558 5.808 1.918
O 17.328 6.636 0.523
O 10.191 3.047 1.864
O 22.493 6.725 0.577
Li 11.179 4.917 1.239
Li 12.043 2.027 1.239
Te 18.924 5.658 -0.075
Li 16.342 4.886 1.221
O 19.721 5.897 1.704
```

Computed properties:
Calculated total energy (eV/cell): -82.237
Density (g/cm³): 4.98
Crystal system: trigonal